Entry 1:
# Na14Y4Ta4Si11SO48

Crystalline Na14Y4Ta4Si11SO48 at its relaxed geometry (PBE, the Materials Project database).

**Size of the total moment**: 0.0 μB/cell
**VASP energy**: -7.425 eV per atom

Unit cell a=9.292 b=16.102 c=22.895 alpha=89.96 beta=89.93 gamma=89.99
Fractional coordinates of all 246 atoms:
Na 0.000 0.000 0.000
Na 0.000 0.028 0.670
Na 0.016 0.360 0.003
Na 0.016 0.689 0.335
Na 0.018 0.660 0.670
Na 0.041 0.683 0.002
Na 0.057 0.353 0.669
Na 0.175 0.851 0.916
Na 0.179 0.175 0.250
Na 0.191 0.514 0.585
Na 0.191 0.515 0.089
Na 0.196 0.174 0.753
Na 0.205 0.850 0.419
Na 0.312 0.681 0.501
Na 0.315 0.347 0.165
Na 0.365 0.334 0.833
Na 0.375 0.690 0.835
Na 0.378 0.036 0.168
Na 0.379 0.990 0.501
Na 0.380 0.368 0.505
Na 0.381 0.659 0.169
Na 0.496 0.528 0.670
Na 0.512 0.504 0.002
Na 0.515 0.161 0.670
Na 0.516 0.188 0.335
Na 0.516 0.864 0.004
Na 0.552 0.853 0.665
Na 0.556 0.174 0.999
Na 0.680 0.676 0.249
Na 0.689 0.014 0.584
Na 0.691 0.347 0.917
Na 0.692 0.012 0.084
Na 0.700 0.679 0.755
Na 0.704 0.350 0.419
Na 0.812 0.181 0.500
Na 0.814 0.846 0.163
Na 0.825 0.521 0.836
Na 0.869 0.190 0.836
Na 0.879 0.491 0.501
Na 0.879 0.538 0.169
Na 0.880 0.868 0.505
Na 0.882 0.158 0.168
Y 0.183 0.517 0.435
Y 0.189 0.512 0.736
Y 0.190 0.519 0.235
Y 0.191 0.847 0.565
Y 0.193 0.182 0.103
Y 0.683 0.017 0.435
Y 0.690 0.019 0.234
Y 0.691 0.678 0.102
Y 0.692 0.346 0.564
Y 0.693 0.019 0.738
Y 0.697 0.682 0.906
Y 0.698 0.015 0.932
Ta 0.180 0.847 0.766
Ta 0.182 0.175 0.399
Ta 0.189 0.849 0.066
Ta 0.191 0.178 0.901
Ta 0.191 0.181 0.606
Ta 0.191 0.515 0.934
Ta 0.203 0.849 0.270
Ta 0.682 0.676 0.399
Ta 0.688 0.348 0.769
Ta 0.689 0.680 0.606
Ta 0.692 0.346 0.065
Ta 0.703 0.349 0.270
Si 0.004 0.012 0.835
Si 0.039 0.363 0.836
Si 0.043 0.666 0.832
Si 0.045 0.037 0.503
Si 0.047 0.989 0.169
Si 0.048 0.706 0.170
Si 0.053 0.323 0.501
Si 0.336 0.995 0.666
Si 0.337 0.031 0.003
Si 0.339 0.330 0.000
Si 0.342 0.701 0.667
Si 0.344 0.669 0.334
Si 0.382 0.015 0.335
Si 0.385 0.681 0.000
Si 0.395 0.345 0.666
Si 0.472 0.181 0.500
Si 0.479 0.848 0.166
Si 0.491 0.514 0.833
Si 0.535 0.168 0.834
Si 0.545 0.537 0.503
Si 0.547 0.488 0.168
Si 0.549 0.206 0.169
Si 0.552 0.823 0.501
Si 0.833 0.496 0.667
Si 0.842 0.201 0.667
Si 0.843 0.832 0.006
Si 0.844 0.168 0.334
Si 0.845 0.527 0.001
Si 0.882 0.515 0.335
Si 0.892 0.845 0.666
Si 0.895 0.182 0.003
Si 0.971 0.681 0.500
Si 0.979 0.348 0.167
S 0.344 0.360 0.335
S 0.531 0.862 0.832
S 0.844 0.860 0.335
O 0.003 0.849 0.329
O 0.004 0.510 0.673
O 0.009 0.196 0.947
O 0.011 0.831 0.721
O 0.019 0.182 0.345
O 0.021 0.198 0.664
O 0.021 0.842 0.013
O 0.022 0.515 0.989
O 0.067 0.596 0.502
O 0.067 0.612 0.775
O 0.069 0.764 0.500
O 0.073 0.264 0.169
O 0.073 0.432 0.168
O 0.077 0.430 0.890
O 0.088 0.096 0.561
O 0.091 0.763 0.227
O 0.092 0.934 0.110
O 0.100 0.263 0.446
O 0.101 0.100 0.846
O 0.105 0.929 0.823
O 0.106 0.270 0.850
O 0.111 0.089 0.446
O 0.113 0.757 0.112
O 0.113 0.935 0.224
O 0.114 0.273 0.561
O 0.118 0.393 0.777
O 0.120 0.612 0.889
O 0.124 0.080 0.169
O 0.125 0.949 0.500
O 0.128 0.616 0.168
O 0.133 0.412 0.501
O 0.135 0.756 0.828
O 0.251 0.087 0.664
O 0.254 0.940 0.006
O 0.256 0.940 0.720
O 0.258 0.086 0.949
O 0.260 0.300 0.059
O 0.261 0.760 0.326
O 0.263 0.629 0.391
O 0.270 0.739 0.609
O 0.272 0.424 0.986
O 0.276 0.933 0.324
O 0.279 0.597 0.989
O 0.279 0.608 0.673
O 0.279 0.763 0.011
O 0.281 0.275 0.340
O 0.282 0.399 0.282
O 0.285 0.102 0.344
O 0.287 0.422 0.672
O 0.303 0.255 0.664
O 0.303 0.266 0.946
O 0.304 0.765 0.724
O 0.318 0.411 0.387
O 0.318 0.943 0.607
O 0.323 0.086 0.061
O 0.325 0.613 0.276
O 0.360 0.184 0.846
O 0.364 0.173 0.559
O 0.366 0.187 0.442
O 0.368 0.840 0.223
O 0.371 0.854 0.827
O 0.372 0.492 0.168
O 0.372 0.532 0.501
O 0.373 0.501 0.889
O 0.373 0.857 0.108
O 0.376 0.201 0.169
O 0.378 0.829 0.500
O 0.399 0.527 0.775
O 0.475 0.997 0.393
O 0.478 0.703 0.943
O 0.481 0.036 0.278
O 0.481 0.654 0.057
O 0.487 0.361 0.608
O 0.503 0.349 0.329
O 0.506 0.015 0.991
O 0.507 0.008 0.675
O 0.511 0.335 0.723
O 0.518 0.338 0.006
O 0.519 0.682 0.345
O 0.521 0.698 0.663
O 0.554 0.115 0.776
O 0.560 0.910 0.886
O 0.568 0.096 0.502
O 0.570 0.264 0.499
O 0.570 0.762 0.167
O 0.576 0.931 0.169
O 0.587 0.426 0.829
O 0.587 0.596 0.561
O 0.590 0.432 0.108
O 0.592 0.263 0.227
O 0.592 0.777 0.835
O 0.592 0.903 0.780
O 0.593 0.594 0.841
O 0.599 0.763 0.446
O 0.612 0.262 0.824
O 0.612 0.589 0.446
O 0.613 0.255 0.110
O 0.613 0.435 0.223
O 0.614 0.774 0.561
O 0.619 0.132 0.891
O 0.625 0.577 0.168
O 0.626 0.449 0.500
O 0.628 0.116 0.168
O 0.633 0.912 0.501
O 0.748 0.587 0.664
O 0.759 0.445 0.725
O 0.761 0.260 0.326
O 0.762 0.563 0.945
O 0.763 0.130 0.391
O 0.768 0.793 0.063
O 0.770 0.238 0.609
O 0.772 0.434 0.011
O 0.772 0.924 0.999
O 0.775 0.434 0.324
O 0.779 0.108 0.674
O 0.781 0.775 0.341
O 0.781 0.899 0.282
O 0.783 0.921 0.677
O 0.786 0.602 0.343
O 0.788 0.104 0.995
O 0.796 0.269 0.006
O 0.801 0.756 0.663
O 0.802 0.265 0.725
O 0.812 0.441 0.609
O 0.818 0.911 0.387
O 0.824 0.113 0.276
O 0.831 0.769 0.951
O 0.835 0.586 0.059
O 0.861 0.357 0.829
O 0.864 0.673 0.559
O 0.866 0.688 0.443
O 0.868 0.341 0.224
O 0.869 0.354 0.110
O 0.872 0.032 0.501
O 0.872 0.673 0.841
O 0.873 0.993 0.169
O 0.874 0.698 0.169
O 0.879 0.329 0.500
O 0.908 0.036 0.778
O 0.912 0.996 0.893
O 0.975 0.497 0.393
O 0.981 0.535 0.278
O 0.983 0.866 0.608
O 0.987 0.167 0.061

=====

Entry 2:
# Na12Ta10Zn2Si15S3O72

Crystalline Na12Ta10Zn2Si15S3O72 at its relaxed geometry (PBE, the Materials Project database).

**Size of the total moment**: 0.0 μB/cell
**VASP energy**: -7.636 eV per atom

Unit cell a=8.974 b=8.984 c=22.659 alpha=90.00 beta=89.83 gamma=60.05
Fractional coordinates of all 114 atoms:
Na 0.000 0.000 0.000
Na 0.006 0.005 0.502
Na 0.024 0.370 0.743
Na 0.320 0.357 0.332
Na 0.344 0.355 0.833
Na 0.351 0.681 0.087
Na 0.375 0.011 0.245
Na 0.628 0.369 0.243
Na 0.634 0.011 0.745
Na 0.679 0.664 0.665
Na 0.688 0.672 0.167
Na 0.987 0.341 0.088
Ta 0.000 0.996 0.861
Ta 0.017 0.002 0.146
Ta 0.023 0.998 0.362
Ta 0.344 0.321 0.480
Ta 0.344 0.336 0.981
Ta 0.675 0.668 0.021
Ta 0.679 0.657 0.318
Ta 0.684 0.660 0.817
Ta 0.689 0.664 0.523
Ta 0.990 0.011 0.646
Zn 0.322 0.352 0.185
Zn 0.341 0.343 0.686
Si 0.011 0.292 0.254
Si 0.016 0.708 0.753
Si 0.049 0.625 0.087
Si 0.055 0.333 0.590
Si 0.300 0.707 0.254
Si 0.355 0.045 0.090
Si 0.386 0.667 0.919
Si 0.396 0.949 0.420
Si 0.622 0.045 0.589
Si 0.632 0.331 0.089
Si 0.668 0.958 0.918
Si 0.674 0.376 0.421
Si 0.716 0.293 0.754
Si 0.969 0.667 0.419
Si 0.970 0.374 0.920
S 0.297 0.991 0.754
S 0.344 0.627 0.586
S 0.732 0.991 0.255
O 0.017 0.170 0.309
O 0.028 0.813 0.810
O 0.038 0.814 0.094
O 0.044 0.152 0.593
O 0.108 0.504 0.144
O 0.120 0.371 0.651
O 0.156 0.361 0.927
O 0.157 0.499 0.428
O 0.172 0.515 0.752
O 0.173 0.027 0.094
O 0.177 0.313 0.532
O 0.177 0.816 0.310
O 0.180 0.538 0.030
O 0.187 0.803 0.592
O 0.188 0.294 0.255
O 0.192 0.009 0.807
O 0.198 0.839 0.911
O 0.201 0.976 0.414
O 0.204 0.831 0.195
O 0.217 0.970 0.700
O 0.309 0.176 0.033
O 0.316 0.144 0.753
O 0.316 0.546 0.533
O 0.337 0.514 0.254
O 0.370 0.496 0.925
O 0.372 0.142 0.426
O 0.374 0.528 0.640
O 0.385 0.110 0.151
O 0.473 0.835 0.758
O 0.474 0.693 0.978
O 0.487 0.708 0.259
O 0.488 0.829 0.476
O 0.496 0.651 0.578
O 0.501 0.147 0.926
O 0.501 0.364 0.429
O 0.505 0.845 0.078
O 0.508 0.864 0.359
O 0.512 0.643 0.862
O 0.520 0.382 0.148
O 0.526 0.116 0.651
O 0.531 0.170 0.532
O 0.535 0.306 0.031
O 0.536 0.299 0.752
O 0.560 0.146 0.252
O 0.645 0.496 0.361
O 0.649 0.867 0.859
O 0.653 0.850 0.578
O 0.663 0.496 0.077
O 0.698 0.834 0.974
O 0.705 0.472 0.476
O 0.712 0.479 0.758
O 0.713 0.835 0.258
O 0.817 0.010 0.307
O 0.822 0.022 0.592
O 0.828 0.162 0.093
O 0.828 0.707 0.758
O 0.829 0.169 0.809
O 0.830 0.480 0.258
O 0.834 0.971 0.200
O 0.842 0.187 0.411
O 0.842 0.976 0.914
O 0.845 0.200 0.695
O 0.847 0.695 0.476
O 0.849 0.464 0.978
O 0.857 0.652 0.074
O 0.858 0.494 0.577
O 0.871 0.638 0.362
O 0.876 0.497 0.861
O 0.976 0.202 0.195
O 0.982 0.840 0.411
O 0.987 0.837 0.696
O 0.990 0.186 0.911